# 1
Compound: NaMgH3
Source: the Materials Project
Functional: PBE-GGA
Structure: optimized geometry

abc: 5.4420 7.6419 5.3620
angles: 90.00 90.00 90.00
With the nearest neighbours (Å) after each atom.
Space group Pnma (No. 62)
Asymmetric unit:
Na1 0.0304 0.2500 0.0056 x4  4 H 2.29-2.45
Mg1 0.0000 0.0000 0.5000 x4  6 H 1.97
H1 0.0274 0.7500 0.4167 x4  2 Mg 1.97
H2 0.2068 0.5436 0.7948 x8  2 Mg 1.97

## Properties
The value obtained for the MP2020-corrected energy is -2.93 eV per atom.


# 2
Compound: Na2Mg2NiH6
Source: the Materials Project
Functional: PBE-GGA
Structure: optimized geometry

abc: 11.3825 8.4189 5.4077
angles: 90.00 90.00 90.00
With the nearest neighbours (Å) after each atom.
Space group Pnma (No. 62)
Asymmetric unit:
Na1 0.1085 0.2500 0.0472 x4  3 H 2.33-2.57
Na2 0.1685 0.7500 0.0553 x4  6 H 2.32-2.48
Mg1 0.1279 0.5069 0.5602 x8  6 H 1.98-2.21
Ni1 0.0011 0.7500 0.4387 x4  4 H 1.58-1.59
H1 0.0220 0.6009 0.2636 x8  1 Ni 1.59
H2 0.0962 0.7500 0.6518 x4  1 Ni 1.58
H3 0.1311 0.2500 0.4745 x4  1 Ni 1.58
H4 0.2250 0.0061 0.8638 x8  2 Mg 1.98

## Properties
The value obtained for the MP2020-corrected energy is -3.23 eV per atom.


Number 1: energy of formation from the pure elements -308 meV/atom, calculated density 1.50 g/cm³. Number 2: energy of formation from the pure elements -327 meV/atom, calculated density 2.04 g/cm³.